# 1
{"formula": "VF5", "functional": "PBE with a Hubbard U", "state": "relaxed", "lattice_angstrom": [[-4.514, -0.195, -4.793], [1.550, -6.288, -1.204], [-3.206, -1.379, 3.075]], "species": ["F", "F", "F", "F", "F", "F", "F", "F", "F", "F", "V", "V"], "frac_coords": [[0.000, 0.500, 0.752], [0.742, 0.537, 0.283], [0.758, 0.963, 0.717], [0.258, 0.463, 0.283], [0.537, 0.258, 0.717], [0.500, 0.000, 0.248], [0.963, 0.242, 0.283], [0.242, 0.037, 0.717], [0.463, 0.742, 0.717], [0.037, 0.758, 0.283], [0.500, 0.000, 0.622], [0.000, 0.500, 0.378]], "e_tot_ev_per_cell": -62.57, "volume_a3_per_atom": 16.82, "e_form_ev_per_atom": -2.773}

---

# 2
{"formula": "Li2Cr3Fe2O12", "functional": "PBE with a Hubbard U", "state": "relaxed", "lattice_angstrom": [[-1.450, 6.407, 6.325], [2.357, -5.917, 6.535], [12.018, 3.696, -0.988]], "species": ["O", "O", "O", "O", "O", "O", "O", "O", "O", "O", "O", "O", "O", "O", "O", "O", "O", "O", "O", "O", "O", "O", "O", "O", "O", "O", "O", "O", "O", "O", "O", "O", "O", "O", "O", "O", "O", "O", "O", "O", "O", "O", "O", "O", "O", "O", "O", "O", "Fe", "Fe", "Fe", "Fe", "Fe", "Fe", "Fe", "Fe", "Li", "Li", "Li", "Li", "Li", "Li", "Li", "Li", "Cr", "Cr", "Cr", "Cr", "Cr", "Cr", "Cr", "Cr", "Cr", "Cr", "Cr", "Cr"], "frac_coords": [[0.131, 0.564, 0.936], [0.068, 0.351, 0.483], [0.106, 0.087, 0.161], [0.631, 0.436, 0.936], [0.369, 0.564, 0.064], [0.394, 0.587, 0.661], [0.475, 0.173, 0.227], [0.663, 0.147, 0.412], [0.726, 0.173, 0.824], [0.432, 0.851, 0.983], [0.631, 0.936, 0.564], [0.337, 0.353, 0.912], [0.025, 0.173, 0.773], [0.869, 0.936, 0.436], [0.068, 0.851, 0.017], [0.025, 0.673, 0.727], [0.274, 0.327, 0.324], [0.663, 0.647, 0.088], [0.869, 0.436, 0.064], [0.606, 0.913, 0.161], [0.568, 0.649, 0.483], [0.131, 0.064, 0.564], [0.894, 0.413, 0.661], [0.894, 0.913, 0.839], [0.106, 0.587, 0.339], [0.606, 0.413, 0.339], [0.525, 0.827, 0.773], [0.726, 0.673, 0.676], [0.932, 0.649, 0.517], [0.525, 0.327, 0.727], [0.274, 0.827, 0.176], [0.226, 0.327, 0.676], [0.163, 0.353, 0.088], [0.774, 0.173, 0.176], [0.432, 0.351, 0.517], [0.837, 0.647, 0.912], [0.337, 0.853, 0.588], [0.774, 0.673, 0.324], [0.163, 0.853, 0.412], [0.837, 0.147, 0.588], [0.975, 0.327, 0.273], [0.475, 0.673, 0.273], [0.226, 0.827, 0.824], [0.932, 0.149, 0.983], [0.369, 0.064, 0.436], [0.394, 0.087, 0.839], [0.975, 0.827, 0.227], [0.568, 0.149, 0.017], [0.537, 0.745, 0.621], [0.963, 0.245, 0.121], [0.463, 0.255, 0.379], [0.463, 0.755, 0.121], [0.963, 0.745, 0.379], [0.537, 0.245, 0.879], [0.037, 0.755, 0.879], [0.037, 0.255, 0.621], [0.227, 0.218, 0.812], [0.273, 0.718, 0.312], [0.227, 0.718, 0.688], [0.273, 0.218, 0.188], [0.773, 0.282, 0.312], [0.727, 0.782, 0.812], [0.727, 0.282, 0.688], [0.773, 0.782, 0.188], [0.750, 0.038, 0.500], [0.604, 0.101, 0.143], [0.104, 0.899, 0.143], [0.604, 0.601, 0.357], [0.396, 0.899, 0.857], [0.750, 0.538, 0.000], [0.104, 0.399, 0.357], [0.250, 0.962, 0.500], [0.250, 0.462, 0.000], [0.896, 0.101, 0.857], [0.396, 0.399, 0.643], [0.896, 0.601, 0.643]], "e_tot_ev_per_cell": -498.57, "volume_a3_per_atom": 13.81, "e_form_ev_per_atom": -1.805}

---

# 3
{"formula": "Li9Mn2Co5O16", "functional": "PBE with a Hubbard U", "state": "relaxed", "lattice_angstrom": [[-5.885, 0.106, -0.513], [-3.068, -3.393, 4.551], [-0.416, 6.510, 4.814]], "species": ["Li", "Li", "Li", "Li", "Li", "Li", "Li", "Li", "Li", "Co", "Co", "Co", "Co", "Co", "O", "O", "O", "O", "O", "O", "O", "O", "O", "O", "O", "O", "O", "O", "O", "O", "Mn", "Mn"], "frac_coords": [[0.618, 0.252, 0.249], [0.017, 0.994, 0.496], [0.373, 0.752, 0.749], [0.134, 0.246, 0.251], [0.247, 0.505, 0.009], [0.489, 0.995, 0.491], [0.374, 0.752, 0.251], [0.875, 0.748, 0.751], [0.751, 0.503, 0.005], [0.878, 0.750, 0.250], [0.623, 0.250, 0.750], [0.503, 0.997, 0.004], [0.741, 0.508, 0.498], [0.125, 0.249, 0.750], [0.887, 0.757, 0.007], [0.347, 0.784, 0.998], [0.112, 0.243, 0.988], [0.504, 0.994, 0.232], [0.740, 0.486, 0.734], [0.596, 0.279, 0.509], [0.253, 0.499, 0.265], [0.003, 0.014, 0.759], [0.987, 0.989, 0.236], [0.131, 0.258, 0.514], [0.653, 0.222, 0.989], [0.509, 0.014, 0.765], [0.369, 0.736, 0.503], [0.763, 0.514, 0.267], [0.240, 0.486, 0.741], [0.900, 0.725, 0.494], [0.006, 0.996, 0.000], [0.250, 0.503, 0.497]], "e_above_lowest_polymorph_mev_per_atom": 33.3, "e_tot_ev_per_cell": -186.28, "volume_a3_per_atom": 8.84, "e_form_ev_per_atom": -1.831}

---

# 4
{"formula": "Ba2YFeO5", "functional": "PBE with a Hubbard U", "state": "relaxed", "lattice_angstrom": [[0.000, 6.181, 0.000], [0.015, 0.000, 7.937], [12.775, 0.000, -0.475]], "species": ["Fe", "Fe", "Fe", "Fe", "Ba", "Ba", "Ba", "Ba", "Ba", "Ba", "Ba", "Ba", "Y", "Y", "Y", "Y", "O", "O", "O", "O", "O", "O", "O", "O", "O", "O", "O", "O", "O", "O", "O", "O", "O", "O", "O", "O"], "frac_coords": [[0.265, 0.258, 0.416], [0.235, 0.758, 0.916], [0.735, 0.742, 0.584], [0.765, 0.242, 0.084], [0.737, 0.984, 0.846], [0.251, 0.508, 0.119], [0.749, 0.492, 0.881], [0.751, 0.992, 0.381], [0.237, 0.516, 0.654], [0.763, 0.484, 0.346], [0.249, 0.008, 0.619], [0.263, 0.016, 0.154], [0.251, 0.231, 0.871], [0.751, 0.269, 0.629], [0.749, 0.769, 0.129], [0.249, 0.731, 0.371], [0.724, 0.066, 0.179], [0.956, 0.243, 0.772], [0.047, 0.226, 0.021], [0.746, 0.474, 0.129], [0.551, 0.222, 0.976], [0.949, 0.722, 0.476], [0.449, 0.778, 0.024], [0.276, 0.934, 0.821], [0.953, 0.774, 0.979], [0.254, 0.526, 0.871], [0.051, 0.278, 0.524], [0.776, 0.566, 0.679], [0.544, 0.743, 0.272], [0.224, 0.434, 0.321], [0.754, 0.974, 0.629], [0.044, 0.757, 0.228], [0.453, 0.726, 0.521], [0.456, 0.257, 0.728], [0.547, 0.274, 0.479], [0.246, 0.026, 0.371]], "e_tot_ev_per_cell": -256.82, "volume_a3_per_atom": 17.41, "e_form_ev_per_atom": -2.931}

---

# 5
{"formula": "Nd2NiO4", "functional": "PBE with a Hubbard U", "state": "relaxed", "lattice_angstrom": [[3.790, 1.032, 0.119], [-1.521, -2.545, 6.146], [1.038, -3.810, -0.042]], "species": ["Ni", "O", "O", "O", "O", "Nd", "Nd"], "frac_coords": [[0.997, 0.001, 0.998], [0.747, 0.500, 0.749], [0.497, 0.002, 0.995], [0.995, 0.001, 0.497], [0.248, 0.503, 0.248], [0.347, 0.702, 0.648], [0.648, 0.302, 0.350]], "e_above_lowest_polymorph_mev_per_atom": 136.8, "e_tot_ev_per_cell": -49.71, "volume_a3_per_atom": 13.81, "e_form_ev_per_atom": -2.842}

---

# 6
{"formula": "Mn3O4", "functional": "PBE with a Hubbard U", "state": "relaxed", "lattice_angstrom": [[2.998, 0.000, 0.000], [0.000, 14.630, 0.000], [0.000, 0.000, 10.467]], "species": ["Mn", "Mn", "Mn", "Mn", "Mn", "Mn", "Mn", "Mn", "Mn", "Mn", "Mn", "Mn", "O", "O", "O", "O", "O", "O", "O", "O", "O", "O", "O", "O", "O", "O", "O", "O"], "frac_coords": [[0.251, 0.471, 0.383], [0.822, 0.750, 0.733], [0.749, 0.971, 0.617], [0.749, 0.029, 0.883], [0.251, 0.029, 0.383], [0.749, 0.529, 0.617], [0.251, 0.529, 0.117], [0.822, 0.250, 0.767], [0.178, 0.250, 0.267], [0.178, 0.750, 0.233], [0.251, 0.971, 0.117], [0.749, 0.471, 0.883], [0.249, 0.500, 0.750], [0.751, 0.581, 0.025], [0.249, 0.919, 0.525], [0.249, 0.000, 0.750], [0.249, 0.081, 0.975], [0.249, 0.419, 0.975], [0.751, 0.081, 0.475], [0.677, 0.750, 0.331], [0.323, 0.750, 0.831], [0.751, 0.500, 0.250], [0.751, 0.419, 0.475], [0.323, 0.250, 0.669], [0.249, 0.581, 0.525], [0.677, 0.250, 0.169], [0.751, 0.919, 0.025], [0.751, 0.000, 0.250]], "e_tot_ev_per_cell": -199.29, "volume_a3_per_atom": 16.40, "e_form_ev_per_atom": -1.471}